[1]
Material: OsCl4O
Method: DFT, meta-GGA r2SCAN
State: relaxed

Geometry as extended XYZ:
```
24
Lattice="9.520 0.000 0.000 0.000 5.689 0.000 -4.078 0.000 11.407" Properties=species:S:1:pos:R:3 pbc="T T T"
Os 0.255 0.644 5.367
Os -1.784 2.201 11.070
Os 7.226 3.488 0.337
Os 5.187 5.046 6.041
Cl -2.398 3.820 9.607
Cl -0.359 4.714 3.903
Cl 2.106 3.831 1.225
Cl 0.067 4.703 6.929
Cl 1.528 1.415 3.667
Cl -0.512 1.430 9.371
Cl 3.952 1.410 0.987
Cl 1.913 1.435 6.691
Cl 3.529 4.254 4.717
Cl 1.490 4.280 10.420
Cl 5.954 4.259 2.036
Cl 3.914 4.275 7.740
Cl 5.375 0.986 4.479
Cl 3.336 1.859 10.182
Cl 5.801 0.976 7.504
Cl 7.840 1.869 1.801
O -3.076 1.164 11.243
O -1.037 1.681 5.539
O 6.479 4.008 5.868
O 8.518 4.526 0.164
```

Results
formation enthalpy at 0 K = -0.5540 eV per atom
total magnetization = 0.00 μB/cell
symmetry = P2_1/c

***

[2]
Material: Th4P6O23
Method: DFT, meta-GGA r2SCAN
State: relaxed

Geometry as extended XYZ:
```
66
Lattice="7.087 0.000 0.000 0.000 10.452 0.000 0.000 0.000 12.885" Properties=species:S:1:pos:R:3 pbc="T T T"
Th 0.000 0.111 0.000
Th 0.000 4.991 2.941
Th 0.000 5.461 9.383
Th 0.000 10.341 6.443
Th 3.543 0.116 4.213
Th 3.543 5.012 1.232
Th 3.543 5.440 7.675
Th 3.543 10.336 10.656
P 0.000 1.297 3.574
P 0.000 3.910 12.815
P 0.000 6.542 6.372
P 0.000 9.155 10.016
P 2.052 2.340 8.412
P 2.052 8.112 1.969
P 3.543 1.328 0.628
P 3.543 3.924 4.234
P 3.543 6.528 10.676
P 3.543 9.124 7.070
P 5.035 2.340 8.412
P 5.035 8.112 1.969
O 0.000 0.717 2.176
O 0.000 2.423 12.581
O 0.000 2.810 3.506
O 0.000 4.664 11.488
O 0.000 5.788 5.045
O 0.000 7.642 9.948
O 0.000 8.029 6.139
O 0.000 9.735 8.619
O 1.196 0.785 4.407
O 1.201 4.363 0.808
O 1.201 6.089 7.251
O 1.196 9.667 10.849
O 1.376 1.604 7.303
O 1.376 8.848 0.860
O 1.556 3.779 8.582
O 1.556 6.673 2.139
O 2.173 1.600 9.709
O 2.173 8.852 3.267
O 2.351 0.830 12.670
O 2.356 4.375 3.341
O 2.356 6.077 9.783
O 2.351 9.622 6.228
O 3.543 0.719 2.016
O 3.543 2.441 4.492
O 3.543 2.679 7.855
O 3.543 2.843 0.731
O 3.543 4.705 5.550
O 3.543 5.746 11.993
O 3.543 7.608 7.173
O 3.543 7.773 1.412
O 3.543 8.010 10.935
O 3.543 9.733 8.458
O 4.736 0.830 12.670
O 4.731 4.375 3.341
O 4.731 6.077 9.783
O 4.736 9.622 6.228
O 4.914 1.600 9.709
O 4.914 8.852 3.267
O 5.531 3.779 8.582
O 5.531 6.673 2.139
O 5.711 1.604 7.303
O 5.711 8.848 0.860
O 5.891 0.785 4.407
O 5.886 4.363 0.808
O 5.886 6.089 7.251
O 5.891 9.667 10.849
```

Results
formation enthalpy at 0 K = -3.1674 eV per atom
total magnetization = 0.00 μB/cell
symmetry = Pmc2_1

***

[3]
Material: Cs3IO5
Method: DFT, meta-GGA r2SCAN
State: relaxed

Geometry as extended XYZ:
```
36
Lattice="8.785 0.000 0.000 0.000 9.329 0.000 0.000 0.000 9.682" Properties=species:S:1:pos:R:3 pbc="T T T"
Cs 2.196 0.000 4.634
Cs 6.589 0.000 5.049
Cs 2.196 4.664 0.207
Cs 6.589 4.664 9.475
Cs 2.196 0.000 0.208
Cs 6.589 0.000 9.475
Cs 2.196 4.664 4.633
Cs 6.589 4.664 5.049
Cs 4.842 2.332 2.421
Cs 3.943 6.997 7.262
Cs 8.335 6.997 2.421
Cs 0.450 2.332 7.262
I 0.076 2.332 2.421
I 8.709 6.997 7.262
I 4.316 6.997 2.421
I 4.469 2.332 7.262
O 1.904 2.332 2.421
O 6.881 6.997 7.262
O 2.488 6.997 2.421
O 6.297 2.332 7.262
O 5.094 5.333 2.421
O 3.691 3.996 7.261
O 8.084 3.996 2.421
O 8.084 0.668 2.420
O 0.701 5.333 7.261
O 0.701 8.660 7.262
O 5.094 8.660 2.420
O 3.691 0.668 7.262
O 4.403 2.331 5.402
O 4.382 6.997 4.280
O 8.775 6.997 5.402
O 8.775 6.996 9.121
O 0.010 2.331 4.280
O 0.010 2.333 0.561
O 4.403 2.333 9.121
O 4.382 6.996 0.561
```

Results
formation enthalpy at 0 K = -1.2753 eV per atom
total magnetization = 0.00 μB/cell

***

[4]
Material: AlI3N5
Method: DFT, meta-GGA r2SCAN
State: relaxed

Geometry as extended XYZ:
```
18
Lattice="3.464 -6.702 0.000 3.464 6.702 0.000 0.000 0.000 7.847" Properties=species:S:1:pos:R:3 pbc="T T T"
Al 3.464 4.417 5.885
Al 3.464 -4.417 1.962
I 1.589 0.000 0.000
I 1.589 0.000 3.924
I 3.464 3.147 1.962
I 3.464 -3.147 5.885
I 5.339 0.000 0.000
I 5.339 0.000 3.924
N 3.464 5.492 4.348
N 3.464 5.492 7.422
N 1.977 1.925 1.962
N 3.464 2.508 5.885
N 1.977 -1.925 5.885
N 4.951 1.925 1.962
N 3.464 -2.508 1.962
N 4.951 -1.925 5.885
N 3.464 -5.492 0.425
N 3.464 -5.492 3.499
```

Results
formation enthalpy at 0 K = 1.3286 eV per atom
total magnetization = 4.66 μB/cell
symmetry = Cmcm

***

[5]
Material: Na3CoF6
Method: DFT, meta-GGA r2SCAN
State: relaxed

Geometry as extended XYZ:
```
20
Lattice="5.369 0.000 0.000 0.000 5.608 0.000 -5.315 0.000 7.698" Properties=species:S:1:pos:R:3 pbc="T T T"
Na 0.000 0.000 0.000
Na -2.658 2.804 3.849
Na -2.747 0.344 5.745
Na -0.089 2.460 1.896
Na 0.143 3.148 5.802
Na 2.800 5.264 1.953
Co 0.027 0.000 3.849
Co 2.685 2.804 0.000
F -1.484 0.995 3.452
F -4.142 1.809 7.300
F -0.872 4.068 3.309
F -3.529 4.344 7.158
F 0.642 0.294 2.121
F -2.015 2.510 5.970
F 2.069 3.098 1.728
F -0.589 5.314 5.577
F 3.583 1.264 0.540
F 0.925 1.540 4.389
F 4.196 3.799 0.397
F 1.538 4.613 4.246
```

Results
formation enthalpy at 0 K = -2.7101 eV per atom
total magnetization = 0.00 μB/cell
symmetry = P2_1/c

***

[6]
Material: EuCuO2
Method: DFT, meta-GGA r2SCAN
State: relaxed

Geometry as extended XYZ:
```
4
Lattice="1.837 1.061 5.652 -1.837 1.061 5.652 0.000 -2.122 5.652" Properties=species:S:1:pos:R:3 pbc="T T T"
Eu 0.000 0.000 0.000
Cu 0.000 0.000 8.478
O 0.000 0.000 6.693
O 0.000 0.000 10.263
```

Results
formation enthalpy at 0 K = -2.1400 eV per atom
total magnetization = 6.00 μB/cell
symmetry = R-3m

***

[7]
Material: Pm2CuRh
Method: DFT, meta-GGA r2SCAN
State: relaxed

Geometry as extended XYZ:
```
4
Lattice="2.484 1.434 4.067 -2.484 1.434 4.067 0.000 -2.869 4.067" Properties=species:S:1:pos:R:3 pbc="T T T"
Pm 0.000 0.000 3.048
Pm 0.000 0.000 9.152
Cu 0.000 0.000 0.000
Rh 0.000 0.000 6.100
```

Results
formation enthalpy at 0 K = -0.4779 eV per atom
total magnetization = 0.00 μB/cell
symmetry = R-3m

***

[8]
Material: CaNb2P6O21
Method: DFT, meta-GGA r2SCAN
State: relaxed

Geometry as extended XYZ:
```
60
Lattice="6.679 -5.341 0.000 6.679 5.341 0.000 -1.325 0.000 12.369" Properties=species:S:1:pos:R:3 pbc="T T T"
Ca 2.809 0.000 1.701
Ca 9.224 0.000 10.668
Nb 6.016 2.724 6.184
Nb 2.739 0.000 10.167
Nb 9.293 0.000 2.202
Nb 6.016 -2.724 6.184
P 4.894 2.775 2.873
P 1.338 0.000 5.067
P 4.696 2.533 11.099
P 7.336 2.533 1.270
P 3.859 0.000 6.716
P 7.138 2.775 9.496
P 4.894 -2.775 2.873
P 8.174 0.000 5.652
P 4.696 -2.533 11.099
P 7.336 -2.533 1.270
P 10.694 0.000 7.302
P 7.138 -2.775 9.496
O 4.638 4.108 6.616
O 3.714 3.540 11.507
O 1.430 1.413 9.620
O 1.308 0.000 3.596
O 6.134 3.248 1.994
O 5.455 2.781 4.315
O 4.391 1.459 2.472
O 7.395 4.108 5.752
O 5.899 3.248 10.375
O 2.876 0.000 5.480
O 4.239 1.404 10.202
O 2.433 0.000 11.891
O 4.707 1.256 6.526
O 3.111 0.000 7.986
O 6.577 2.781 8.053
O 8.319 3.540 0.862
O 1.430 -1.413 9.620
O 6.679 1.824 0.000
O 7.794 1.404 2.167
O 7.326 1.256 5.843
O 4.391 -1.459 2.472
O 7.641 1.459 9.897
O 4.707 -1.256 6.526
O 4.239 -1.404 10.202
O 6.679 -1.824 0.000
O 10.603 1.413 2.749
O 3.714 -3.540 11.507
O 5.455 -2.781 4.315
O 8.921 0.000 4.383
O 7.326 -1.256 5.843
O 9.600 0.000 0.478
O 7.794 -1.404 2.167
O 9.157 0.000 6.888
O 6.134 -3.248 1.994
O 4.638 -4.108 6.616
O 7.641 -1.459 9.897
O 6.577 -2.781 8.053
O 5.899 -3.248 10.375
O 10.725 0.000 8.772
O 10.603 -1.413 2.749
O 8.319 -3.540 0.862
O 7.395 -4.108 5.752
```

Results
formation enthalpy at 0 K = -2.5763 eV per atom
total magnetization = 0.00 μB/cell
symmetry = C2/m

***

[9]
Material: EuAl8Cu4
Method: DFT, meta-GGA r2SCAN
State: relaxed

Geometry as extended XYZ:
```
13
Lattice="-4.394 4.394 2.556 4.394 -4.394 2.556 4.394 4.394 -2.556" Properties=species:S:1:pos:R:3 pbc="T T T"
Eu 0.000 0.000 0.000
Al 3.064 0.000 0.000
Al 5.725 0.000 0.000
Al 4.394 2.446 0.000
Al 0.000 3.064 0.000
Al 2.446 4.394 0.000
Al 1.949 0.000 2.556
Al 0.000 5.725 0.000
Al 0.000 1.949 2.556
Cu 2.197 2.197 -1.278
Cu 2.197 -2.197 1.278
Cu -2.197 2.197 1.278
Cu 2.197 2.197 1.278
```

Results
formation enthalpy at 0 K = -0.3228 eV per atom
total magnetization = 6.98 μB/cell
symmetry = I4/mmm

***

[10]
Material: KCeF4
Method: DFT, meta-GGA r2SCAN
State: relaxed

Geometry as extended XYZ:
```
6
Lattice="4.030 0.000 0.000 0.000 4.030 0.000 0.000 0.000 6.176" Properties=species:S:1:pos:R:3 pbc="T T T"
K 0.000 0.000 0.000
Ce 2.015 2.015 3.088
F 0.000 2.015 1.765
F 0.000 2.015 4.410
F 2.015 0.000 1.765
F 2.015 0.000 4.410
```

Results
formation enthalpy at 0 K = -3.9091 eV per atom
total magnetization = 1.00 μB/cell
symmetry = P4/mmm

***

[11]
Material: Yb2BiAu
Method: DFT, meta-GGA r2SCAN
State: relaxed

Geometry as extended XYZ:
```
4
Lattice="0.000 3.664 3.664 3.664 0.000 3.664 3.664 3.664 0.000" Properties=species:S:1:pos:R:3 pbc="T T T"
Yb 1.832 1.832 1.832
Yb 5.496 5.496 5.496
Bi 0.000 0.000 0.000
Au 3.664 3.664 3.664
```

Results
formation enthalpy at 0 K = -0.6439 eV per atom
total magnetization = 1.22 μB/cell
symmetry = Fm-3m

***

[12]
Material: LaPt5
Method: DFT, meta-GGA r2SCAN
State: relaxed

Geometry as extended XYZ:
```
6
Lattice="5.429 0.000 0.000 -2.714 4.701 0.000 0.000 0.000 4.393" Properties=species:S:1:pos:R:3 pbc="T T T"
La 0.000 0.000 0.000
Pt -1.357 2.351 2.197
Pt 0.000 3.134 0.000
Pt 2.714 0.000 2.197
Pt 1.357 2.351 2.197
Pt 2.714 1.567 0.000
```

Results
formation enthalpy at 0 K = -0.8494 eV per atom
total magnetization = 0.00 μB/cell
symmetry = P6/mmm